Record 1
The following is a DFT calculation (PBE) of a relaxed Cs2PrCl5 crystal.

Lattice parameters (Å, degrees): 8.6973 9.2032 14.1657 90.00 90.00 90.00
Fractional positions:
1 Cs 0.9474 0.0062 0.8281
2 Cs 0.0526 0.9938 0.1719
3 Cs 0.4474 0.9938 0.6719
4 Cs 0.0526 0.5062 0.1719
5 Cs 0.5526 0.0062 0.3281
6 Cs 0.9474 0.4938 0.8281
7 Cs 0.5526 0.4938 0.3281
8 Cs 0.4474 0.5062 0.6719
9 Pr 0.9327 0.7500 0.5028
10 Pr 0.0673 0.2500 0.4972
11 Pr 0.4327 0.2500 0.9972
12 Pr 0.5673 0.7500 0.0028
13 Cl 0.1111 0.7500 0.6663
14 Cl 0.8889 0.2500 0.3337
15 Cl 0.6111 0.2500 0.8337
16 Cl 0.3889 0.7500 0.1663
17 Cl 0.8465 0.0398 0.5690
18 Cl 0.1535 0.9602 0.4310
19 Cl 0.3465 0.9602 0.9310
20 Cl 0.1535 0.5398 0.4310
21 Cl 0.6535 0.0398 0.0690
22 Cl 0.8465 0.4602 0.5690
23 Cl 0.6535 0.4602 0.0690
24 Cl 0.3465 0.5398 0.9310
25 Cl 0.6088 0.7500 0.5120
26 Cl 0.3912 0.2500 0.4880
27 Cl 0.1088 0.2500 0.9880
28 Cl 0.8912 0.7500 0.0120
29 Cl 0.6508 0.7500 0.8115
30 Cl 0.3492 0.2500 0.1885
31 Cl 0.1508 0.2500 0.6885
32 Cl 0.8492 0.7500 0.3115

Properties
The space group is Pnma, No. 62. The total energy after the MP2020 corrections is -4.543 eV per atom. The calculation puts the energy of formation from the pure elements at -20.53 eV per formula unit.

=====

Record 2
The following is a DFT calculation (PBE) of a relaxed Cs2RbPrCl6 crystal.

Lattice parameters (Å, degrees): 8.3456 8.3456 8.3456 60.00 60.00 60.00
Fractional positions:
1 Cs 0.7500 0.7500 0.7500
2 Cs 0.2500 0.2500 0.2500
3 Rb 0.5000 0.5000 0.5000
4 Pr 0.0000 0.0000 0.0000
5 Cl 0.7665 0.2335 0.2335
6 Cl 0.2335 0.2335 0.7665
7 Cl 0.2335 0.7665 0.7665
8 Cl 0.2335 0.7665 0.2335
9 Cl 0.7665 0.2335 0.7665
10 Cl 0.7665 0.7665 0.2335

Properties
The space group is Fm-3m, No. 225. The total energy after the MP2020 corrections is -4.339 eV per atom. The calculation puts the energy of formation from the pure elements at -24.74 eV per formula unit. The spin magnetization is 0.0 μB/f.u.

=====

Record 3
The following is a DFT calculation (PBE) of a relaxed Cs2PtCl4 crystal.

Lattice parameters (Å, degrees): 7.5269 7.5269 9.6449 90.00 90.00 90.06
Fractional positions:
1 Cs 0.0057 0.5052 0.7500
2 Cs 0.5052 0.0057 0.2500
3 Cs 0.9943 0.4948 0.2500
4 Cs 0.4948 0.9943 0.7500
5 Pt 0.0000 0.0000 0.5000
6 Pt 0.0000 0.0000 0.0000
7 Cl 0.2188 0.7812 0.4924
8 Cl 0.2188 0.7812 0.0076
9 Cl 0.2191 0.2191 0.0000
10 Cl 0.7809 0.7809 0.5000
11 Cl 0.7809 0.7809 0.0000
12 Cl 0.7812 0.2188 0.5076
13 Cl 0.7812 0.2188 0.9924
14 Cl 0.2191 0.2191 0.5000

Properties
The space group is Cmcm, No. 63. The total energy after the MP2020 corrections is -3.893 eV per atom. The calculation puts the energy of formation from the pure elements at -12.00 eV per formula unit.

=====

Record 4
The following is a DFT calculation (PBE) of a relaxed Cs2PtCl4 crystal.

Lattice parameters (Å, degrees): 7.5395 7.5395 9.6651 90.00 90.00 89.98
Fractional positions:
1 Cs 0.5001 0.0000 0.7500
2 Cs 0.0000 0.4999 0.2500
3 Cs 0.4999 0.0000 0.2500
4 Cs 0.0000 0.5001 0.7500
5 Pt 0.0000 0.0000 0.5000
6 Pt 0.0000 0.0000 0.0000
7 Cl 0.7813 0.7813 0.5000
8 Cl 0.7813 0.7813 0.0000
9 Cl 0.2187 0.7813 0.0000
10 Cl 0.7813 0.2187 0.5000
11 Cl 0.7813 0.2187 0.0000
12 Cl 0.2187 0.2187 0.5000
13 Cl 0.2187 0.2187 0.0000
14 Cl 0.2187 0.7813 0.5000

Properties
The total energy after the MP2020 corrections is -3.894 eV per atom. The calculation puts the energy of formation from the pure elements at -12.00 eV per formula unit.

=====

Record 5
The following is a DFT calculation (PBE) of a relaxed CsRb2SbCl6 crystal.

Lattice parameters (Å, degrees): 8.3652 8.3652 8.3652 60.00 60.00 60.00
Fractional positions:
1 Cs 0.5000 0.5000 0.5000
2 Rb 0.7500 0.7500 0.7500
3 Rb 0.2500 0.2500 0.2500
4 Sb 0.0000 0.0000 0.0000
5 Cl 0.7749 0.2251 0.2251
6 Cl 0.2251 0.2251 0.7749
7 Cl 0.2251 0.7749 0.7749
8 Cl 0.2251 0.7749 0.2251
9 Cl 0.7749 0.2251 0.7749
10 Cl 0.7749 0.7749 0.2251

Properties
The space group is Fm-3m, No. 225. The total energy after the MP2020 corrections is -3.653 eV per atom. The calculation puts the energy of formation from the pure elements at -18.46 eV per formula unit. The spin magnetization is 0.0 μB/f.u.

=====

Record 6
The following is a DFT calculation (PBE) of a relaxed CsRb2ScCl6 crystal.

Lattice parameters (Å, degrees): 8.1194 8.1194 8.1194 60.00 60.00 60.00
Fractional positions:
1 Cs 0.5000 0.5000 0.5000
2 Rb 0.7500 0.7500 0.7500
3 Rb 0.2500 0.2500 0.2500
4 Sc 0.0000 0.0000 0.0000
5 Cl 0.7825 0.2175 0.2175
6 Cl 0.2175 0.2175 0.7825
7 Cl 0.2175 0.7825 0.7825
8 Cl 0.2175 0.7825 0.2175
9 Cl 0.7825 0.2175 0.7825
10 Cl 0.7825 0.7825 0.2175

Properties
The space group is Fm-3m, No. 225. The total energy after the MP2020 corrections is -4.395 eV per atom. The calculation puts the energy of formation from the pure elements at -23.67 eV per formula unit. The spin magnetization is 0.0 μB/f.u.

=====

Record 7
The following is a DFT calculation (PBE) of a relaxed Cs2RbTlCl6 crystal.

Lattice parameters (Å, degrees): 8.1273 8.1273 8.1273 60.00 60.00 60.00
Fractional positions:
1 Cs 0.7500 0.7500 0.7500
2 Cs 0.2500 0.2500 0.2500
3 Rb 0.5000 0.5000 0.5000
4 Tl 0.0000 0.0000 0.0000
5 Cl 0.7718 0.2282 0.2282
6 Cl 0.2282 0.2282 0.7718
7 Cl 0.2282 0.7718 0.7718
8 Cl 0.2282 0.7718 0.2282
9 Cl 0.7718 0.2282 0.7718
10 Cl 0.7718 0.7718 0.2282

Properties
The space group is Fm-3m, No. 225. The total energy after the MP2020 corrections is -3.471 eV per atom. The calculation puts the energy of formation from the pure elements at -18.48 eV per formula unit. The spin magnetization is 0.0 μB/f.u.

=====

Record 8
The following is a DFT calculation (PBE) of a relaxed CsRb2TmCl6 crystal.

Lattice parameters (Å, degrees): 8.2912 8.2912 8.2912 60.00 60.00 60.00
Fractional positions:
1 Cs 0.5000 0.5000 0.5000
2 Rb 0.7500 0.7500 0.7500
3 Rb 0.2500 0.2500 0.2500
4 Tm 0.0000 0.0000 0.0000
5 Cl 0.7781 0.2219 0.2219
6 Cl 0.2219 0.2219 0.7781
7 Cl 0.2219 0.7781 0.7781
8 Cl 0.2219 0.7781 0.2219
9 Cl 0.7781 0.2219 0.7781
10 Cl 0.7781 0.7781 0.2219

Properties
The space group is Fm-3m, No. 225. The total energy after the MP2020 corrections is -4.273 eV per atom. The calculation puts the energy of formation from the pure elements at -24.31 eV per formula unit. The spin magnetization is 0.0 μB/f.u.

=====

Record 9
The following is a DFT calculation (PBE) of a relaxed Cs3Re6S7Cl7 crystal.

Lattice parameters (Å, degrees): 13.2876 9.4642 11.3842 73.38 90.00 90.00
Fractional positions:
1 Cs 0.2594 0.9757 0.8857
2 Cs 0.7594 0.0243 0.1143
3 Cs 0.7405 0.0262 0.6131
4 Cs 0.2405 0.9738 0.3869
5 Cs 0.9989 0.4997 0.2503
6 Cs 0.4989 0.5003 0.7497
7 Re 0.1224 0.5993 0.7253
8 Re 0.6224 0.4007 0.2747
9 Re 0.8799 0.3980 0.7749
10 Re 0.3799 0.6020 0.2251
11 Re 0.0431 0.3850 0.6520
12 Re 0.5431 0.6150 0.3480
13 Re 0.9599 0.6140 0.8489
14 Re 0.4599 0.3860 0.1511
15 Re 0.0531 0.3625 0.8865
16 Re 0.5531 0.6375 0.1135
17 Re 0.9499 0.6367 0.6123
18 Re 0.4499 0.3633 0.3877
19 S 0.9748 0.1774 0.8076
20 S 0.4748 0.8226 0.1924
21 S 0.0246 0.8239 0.6920
22 S 0.5246 0.1761 0.3080
23 S 0.1210 0.5712 0.9428
24 S 0.6210 0.4288 0.0572
25 S 0.8781 0.4295 0.5567
26 S 0.3781 0.5705 0.4433
27 S 0.8968 0.3875 0.9888
28 S 0.3968 0.6125 0.0112
29 S 0.1025 0.6130 0.5114
30 S 0.6025 0.3870 0.4886
31 S 0.2013 0.3604 0.7622
32 S 0.7013 0.6396 0.2378
33 Cl 0.2810 0.7384 0.6903
34 Cl 0.7810 0.2616 0.3097
35 Cl 0.7201 0.2632 0.8090
36 Cl 0.2201 0.7368 0.1910
37 Cl 0.1149 0.1795 0.0689
38 Cl 0.6149 0.8205 0.9311
39 Cl 0.8860 0.8187 0.4336
40 Cl 0.3860 0.1813 0.5664
41 Cl 0.0941 0.2336 0.5222
42 Cl 0.5941 0.7664 0.4778
43 Cl 0.9067 0.7652 0.9756
44 Cl 0.4067 0.2348 0.0244
45 Cl 0.7910 0.6432 0.7376
46 Cl 0.2910 0.3568 0.2624

Properties
The space group is P2_1, No. 4. The total energy after the MP2020 corrections is -6.543 eV per atom. The calculation puts the energy of formation from the pure elements at -31.23 eV per formula unit. The spin magnetization is 0.0 μB/f.u.

=====

Record 10
The following is a DFT calculation (PBE) of a relaxed Cs3Ru2Cl9 crystal.

Lattice parameters (Å, degrees): 7.5072 7.5072 17.9811 90.00 90.00 120.00
Fractional positions:
1 Cs 0.0000 0.0000 0.2500
2 Cs 0.0000 0.0000 0.7500
3 Cs 0.3333 0.6667 0.0716
4 Cs 0.6667 0.3333 0.5716
5 Cs 0.6667 0.3333 0.9284
6 Cs 0.3333 0.6667 0.4284
7 Ru 0.3333 0.6667 0.8243
8 Ru 0.6667 0.3333 0.3243
9 Ru 0.6667 0.3333 0.1757
10 Ru 0.3333 0.6667 0.6757
11 Cl 0.5128 0.0256 0.2500
12 Cl 0.4872 0.5128 0.7500
13 Cl 0.0256 0.5128 0.7500
14 Cl 0.9744 0.4872 0.2500
15 Cl 0.5128 0.4872 0.2500
16 Cl 0.4872 0.9744 0.7500
17 Cl 0.8147 0.6294 0.0993
18 Cl 0.1853 0.8147 0.5993
19 Cl 0.6294 0.8147 0.5993
20 Cl 0.3706 0.1853 0.0993
21 Cl 0.8147 0.1853 0.0993
22 Cl 0.1853 0.3706 0.9007
23 Cl 0.1853 0.8147 0.9007
24 Cl 0.1853 0.3706 0.5993
25 Cl 0.6294 0.8147 0.9007
26 Cl 0.3706 0.1853 0.4007
27 Cl 0.8147 0.6294 0.4007
28 Cl 0.8147 0.1853 0.4007

Properties
The space group is P6_3/mmc, No. 194. The total energy after the MP2020 corrections is -4.314 eV per atom. The calculation puts the energy of formation from the pure elements at -22.52 eV per formula unit.

=====

Record 11
The following is a DFT calculation (PBE) of a relaxed Cs3Sb2Cl9 crystal.

Lattice parameters (Å, degrees): 7.7965 7.7965 9.5367 90.00 90.00 120.00
Fractional positions:
1 Cs 0.6667 0.3333 0.6655
2 Cs 0.3333 0.6667 0.3345
3 Cs 0.0000 0.0000 0.0000
4 Sb 0.6667 0.3333 0.1807
5 Sb 0.3333 0.6667 0.8193
6 Cl 0.8223 0.1777 0.3285
7 Cl 0.8223 0.6445 0.3285
8 Cl 0.3555 0.1777 0.3285
9 Cl 0.6445 0.8223 0.6715
10 Cl 0.1777 0.3555 0.6715
11 Cl 0.5000 0.0000 0.0000
12 Cl 0.0000 0.5000 0.0000
13 Cl 0.5000 0.5000 0.0000
14 Cl 0.1777 0.8223 0.6715

Properties
The space group is P-3m1, No. 164. For the distance to the lowest polymorph of the same formula, the calculation gives 0.000 eV/atom. The total energy after the MP2020 corrections is -3.787 eV per atom. The calculation puts the energy of formation from the pure elements at -25.44 eV per formula unit.

=====

Record 12
The following is a DFT calculation (PBE) of a relaxed Cs3Sb2Cl9 crystal.

Lattice parameters (Å, degrees): 7.7535 13.2805 18.9638 90.00 90.00 90.00
Fractional positions:
1 Cs 0.2500 0.7510 0.7524
2 Cs 0.2500 0.4146 0.4094
3 Cs 0.7500 0.2490 0.2476
4 Cs 0.7500 0.5854 0.5906
5 Cs 0.7500 0.9146 0.0906
6 Cs 0.2500 0.7490 0.2524
7 Cs 0.2500 0.4170 0.0822
8 Cs 0.7500 0.2510 0.7476
9 Cs 0.2500 0.0854 0.9094
10 Cs 0.7500 0.9170 0.4178
11 Cs 0.7500 0.5830 0.9178
12 Cs 0.2500 0.0830 0.5822
13 Sb 0.2500 0.4164 0.8154
14 Sb 0.7500 0.9164 0.6846
15 Sb 0.7500 0.5836 0.1846
16 Sb 0.7500 0.2354 0.9992
17 Sb 0.2500 0.0836 0.3154
18 Sb 0.7500 0.2646 0.4992
19 Sb 0.2500 0.7354 0.5008
20 Sb 0.2500 0.7646 0.0008
21 Cl 0.0162 0.8372 0.9244
22 Cl 0.5162 0.1628 0.0756
23 Cl 0.7500 0.0824 0.9233
24 Cl 0.5051 0.0008 0.7522
25 Cl 0.9949 0.0008 0.7522
26 Cl 0.2500 0.5837 0.9111
27 Cl 0.4957 0.1758 0.4059
28 Cl 0.0162 0.6628 0.4244
29 Cl 0.4949 0.5008 0.7478
30 Cl 0.9838 0.3372 0.5756
31 Cl 0.9957 0.6758 0.0941
32 Cl 0.0051 0.5008 0.7478
33 Cl 0.9949 0.4992 0.2522
34 Cl 0.7500 0.4163 0.0889
35 Cl 0.0043 0.1758 0.4059
36 Cl 0.5051 0.4992 0.2522
37 Cl 0.2500 0.5824 0.5767
38 Cl 0.7500 0.0837 0.5889
39 Cl 0.4838 0.8372 0.9244
40 Cl 0.9838 0.1628 0.0756
41 Cl 0.2500 0.2424 0.2410
42 Cl 0.5043 0.8242 0.5941
43 Cl 0.4957 0.3242 0.9059
44 Cl 0.4838 0.6628 0.4244
45 Cl 0.5162 0.3372 0.5756
46 Cl 0.7500 0.7576 0.7590
47 Cl 0.7500 0.4176 0.4233
48 Cl 0.4949 0.9992 0.2478
49 Cl 0.0051 0.9992 0.2478
50 Cl 0.9957 0.8242 0.5941
51 Cl 0.7500 0.7424 0.2590
52 Cl 0.2500 0.9163 0.4111
53 Cl 0.2500 0.2576 0.7410
54 Cl 0.2500 0.9176 0.0767
55 Cl 0.0043 0.3242 0.9059
56 Cl 0.5043 0.6758 0.0941

Properties
The space group is Pnma, No. 62. For the distance to the lowest polymorph of the same formula, the calculation gives 0.006 eV/atom. The total energy after the MP2020 corrections is -3.781 eV per atom. The calculation puts the energy of formation from the pure elements at -25.36 eV per formula unit. The spin magnetization is 0.0 μB/f.u.

=====

Record 13
The following is a DFT calculation (PBE) of a relaxed Cs3Sb2Cl9 crystal.

Lattice parameters (Å, degrees): 7.8093 7.8093 9.5738 90.00 90.00 120.00
Fractional positions:
1 Cs 0.3333 0.6667 0.3257
2 Cs 0.6667 0.3333 0.6743
3 Cs 0.0000 0.0000 0.0000
4 Sb 0.3333 0.6667 0.8201
5 Sb 0.6667 0.3333 0.1799
6 Cl 0.5301 0.5301 0.0000
7 Cl 0.3560 0.2033 0.3253
8 Cl 0.0000 0.4699 0.0000
9 Cl 0.8474 0.6440 0.3253
10 Cl 0.1526 0.7967 0.6747
11 Cl 0.4699 0.0000 0.0000
12 Cl 0.2033 0.3560 0.6747
13 Cl 0.7967 0.1526 0.3253
14 Cl 0.6440 0.8474 0.6747

Properties
The space group is P321, No. 150. For the distance to the lowest polymorph of the same formula, the calculation gives 0.001 eV/atom. The total energy after the MP2020 corrections is -3.786 eV per atom. The calculation puts the energy of formation from the pure elements at -25.42 eV per formula unit.

=====

Record 14
The following is a DFT calculation (PBE) of a relaxed Cs4TlSbCl12 crystal.

Lattice parameters (Å, degrees): 7.6569 7.6569 10.6296 90.00 90.00 90.00
Fractional positions:
1 Cs 0.5000 0.0000 0.7774
2 Cs 0.0000 0.5000 0.2226
3 Cs 0.5000 0.0000 0.2226
4 Cs 0.0000 0.5000 0.7774
5 Tl 0.0000 0.0000 0.0000
6 Sb 0.5000 0.5000 0.5000
7 Cl 0.0000 0.0000 0.7519
8 Cl 0.5000 0.5000 0.2727
9 Cl 0.7232 0.7232 0.5000
10 Cl 0.2439 0.2439 0.0000
11 Cl 0.7232 0.2768 0.5000
12 Cl 0.2439 0.7561 0.0000
13 Cl 0.0000 0.0000 0.2481
14 Cl 0.5000 0.5000 0.7273
15 Cl 0.2768 0.2768 0.5000
16 Cl 0.7561 0.7561 0.0000
17 Cl 0.2768 0.7232 0.5000
18 Cl 0.7561 0.2439 0.0000

Properties
The space group is P4/mmm, No. 123. The total energy after the MP2020 corrections is -3.531 eV per atom. The calculation puts the energy of formation from the pure elements at -31.31 eV per formula unit. The spin magnetization is 0.0 μB/f.u.